The following is a DFT calculation (PBE+U) of a relaxed structure of Na6Co3B9P6H3O38.

a = 11.8205 Å, b = 11.8241 Å, c = 12.2317 Å
α = 90.00°, β = 90.00°, γ = 120.03°
With the nearest neighbours (Å) after each atom.
Sites, in units of the cell vectors:
O1 0.2051 0.9029 0.7323  1 B 1.50, 1 P 1.56
O2 0.5672 0.8953 0.7792  1 P 1.53
O3 0.6305 0.1460 0.6062  1 H 0.99
O4 0.8541 0.4843 0.6062  1 H 0.99
O5 0.0975 0.3022 0.7323  1 B 1.50, 1 P 1.56
O6 0.5126 0.6805 0.8728  1 P 1.54
O7 0.6680 0.5735 0.9502  1 P 1.53
O8 0.0627 0.6360 0.0131  2 B 1.38-1.50
O9 0.1616 0.2737 0.9202  1 B 1.49, 1 P 1.58
O10 0.8384 0.7263 0.4202  1 B 1.49, 1 P 1.58
O11 0.8315 0.5125 0.3734  1 P 1.54
O12 0.8284 0.5099 0.8657  1 P 1.52
O13 0.4360 0.0696 0.7105  2 B 1.38-1.52
O14 0.4874 0.3195 0.3728  1 P 1.54
O15 0.5640 0.9304 0.2105  2 B 1.38-1.52
O16 0.0000 0.0001 0.6510  1 Na 2.56, 3 O 2.79-2.80
O17 0.9025 0.6978 0.2323  1 B 1.50, 1 P 1.56
O18 0.2956 0.1950 0.9977  1 B 1.48, 1 P 1.57
O19 0.6981 0.7953 0.7322  1 B 1.49, 1 P 1.56
O20 0.1459 0.5157 0.1062  1 H 0.99
O21 0.8355 0.7186 0.8065  1 B 1.47, 1 P 1.59
O22 0.6355 0.5733 0.5130  2 B 1.38-1.51
O23 0.2741 0.1125 0.4202  1 B 1.49, 1 P 1.58
O24 0.6808 0.1685 0.3732  1 P 1.54
O25 0.8211 0.7361 0.6143  2 B 1.44
O26 0.7949 0.0971 0.2324  1 B 1.50, 1 P 1.56
O27 0.5744 0.9058 0.4507  1 P 1.53
O28 0.5729 0.9370 0.0131  2 B 1.38-1.50
O29 0.6331 0.5642 0.7106  2 B 1.38-1.52
O30 0.7360 0.9149 0.1142  2 B 1.44
O31 0.5101 0.6812 0.3662  1 P 1.52
O32 0.0000 0.9999 0.1510  1 Na 2.56, 3 O 2.79-2.80
O33 0.9373 0.3640 0.5131  2 B 1.38-1.50
O34 0.3019 0.2047 0.2322  1 B 1.49, 1 P 1.56
O35 0.4899 0.3188 0.8662  1 P 1.52
O36 0.3192 0.8315 0.8732  1 P 1.54
O37 0.3645 0.4267 0.0130  2 B 1.38-1.51
O38 0.7183 0.8823 0.3062  1 B 1.48, 1 P 1.58
O39 0.1645 0.2814 0.3065  1 B 1.47, 1 P 1.59
O40 0.0693 0.6336 0.2105  2 B 1.38-1.52
O41 0.1685 0.4875 0.8734  1 P 1.54
O42 0.3330 0.6654 0.5744  1 Na 2.42
O43 0.8878 0.1617 0.4201  1 B 1.49, 1 P 1.58
O44 0.2817 0.1177 0.8062  1 B 1.48, 1 P 1.58
O45 0.4256 0.0942 0.9507  1 P 1.53
O46 0.1122 0.8383 0.9201  1 B 1.49, 1 P 1.58
O47 0.0941 0.6685 0.4506  1 P 1.53
O48 0.4271 0.0630 0.5131  2 B 1.38-1.50
O49 0.7259 0.8875 0.9202  1 B 1.49, 1 P 1.58
O50 0.1009 0.2960 0.4977  1 B 1.48, 1 P 1.57
O51 0.6716 0.5670 0.2797  1 P 1.53
O52 0.1716 0.4901 0.3657  1 P 1.52
O53 0.4845 0.6301 0.1062  1 H 0.99
O54 0.6670 0.3346 0.0744  1 Na 2.42
O55 0.8828 0.1643 0.8063  1 B 1.47, 1 P 1.59
O56 0.9307 0.3664 0.7105  2 B 1.38-1.52
O57 0.9151 0.1788 0.6143  2 B 1.44
O58 0.6815 0.1717 0.8658  1 P 1.52
O59 0.3695 0.8540 0.1062  1 H 0.99
O60 0.1789 0.2639 0.1143  2 B 1.44
O61 0.1954 0.8994 0.4976  1 B 1.48, 1 P 1.57
O62 0.2640 0.0851 0.6142  2 B 1.44
O63 0.3320 0.4265 0.4502  1 P 1.53
O64 0.9059 0.3315 0.9506  1 P 1.53
O65 0.8991 0.7040 0.9977  1 B 1.48, 1 P 1.57
O66 0.3284 0.4330 0.7797  1 P 1.53
O67 0.1047 0.6719 0.7792  1 P 1.53
O68 0.8046 0.1006 0.9976  1 B 1.48, 1 P 1.57
O69 0.5155 0.3699 0.6062  1 H 0.99
O70 0.4328 0.1047 0.2792  1 P 1.53
O71 0.7044 0.8050 0.4977  1 B 1.48, 1 P 1.57
O72 0.1172 0.8357 0.3063  1 B 1.47, 1 P 1.59
O73 0.3185 0.8283 0.3658  1 P 1.52
O74 0.3669 0.4358 0.2106  2 B 1.38-1.52
O75 0.8953 0.3281 0.2792  1 P 1.53
O76 0.0849 0.8212 0.1143  2 B 1.44
B1 0.5040 0.9088 0.1097  3 O 1.38-1.39
B2 0.7482 0.7031 0.7146  4 O 1.44-1.52
B3 0.7024 0.9545 0.2145  4 O 1.44-1.52
B4 0.9090 0.4046 0.6096  3 O 1.38-1.39
B5 0.0455 0.7482 0.2146  4 O 1.44-1.52
B6 0.9598 0.2499 0.5134  4 O 1.44-1.50
B7 0.4050 0.4958 0.1096  3 O 1.38
B8 0.2518 0.2969 0.2146  4 O 1.44-1.52
B9 0.5950 0.5042 0.6096  3 O 1.38
B10 0.2902 0.0401 0.5134  4 O 1.44-1.50
B11 0.7503 0.7105 0.5134  4 O 1.44-1.51
B12 0.9545 0.2518 0.7146  4 O 1.44-1.52
B13 0.0910 0.5954 0.1096  3 O 1.38-1.39
B14 0.7098 0.9599 0.0134  4 O 1.44-1.50
B15 0.2497 0.2895 0.0134  4 O 1.44-1.51
B16 0.2976 0.0455 0.7145  4 O 1.44-1.52
B17 0.0402 0.7501 0.0134  4 O 1.44-1.50
B18 0.4960 0.0912 0.6097  3 O 1.38-1.39
Co1 0.4951 0.9963 0.3647  4 O 2.03-2.12
Co2 0.4992 0.4953 0.8644  4 O 2.02-2.12
Co3 0.0036 0.4989 0.3646  4 O 2.03-2.12
Co4 0.9964 0.5011 0.8646  4 O 2.03-2.12
Co5 0.5049 0.0037 0.8647  4 O 2.03-2.12
Co6 0.5008 0.5047 0.3644  4 O 2.02-2.12
Na1 0.3329 0.6667 0.2641  3 O 2.36-2.37
Na2 0.6671 0.3333 0.7641  3 O 2.36-2.37
Na3 0.0000 0.0001 0.8600  1 O 2.56
Na4 0.7120 0.9809 0.6188  6 O 2.37-2.58
Na5 0.7316 0.7122 0.1188  6 O 2.37-2.58
Na6 0.3330 0.6665 0.7721  4 O 2.38-2.42
Na7 0.2684 0.2878 0.6188  6 O 2.37-2.58
Na8 0.6670 0.3335 0.2721  4 O 2.38-2.42
Na9 0.0194 0.7311 0.6187  6 O 2.38-2.58
Na10 0.9806 0.2689 0.1187  6 O 2.38-2.58
Na11 0.2880 0.0191 0.1188  6 O 2.37-2.58
Na12 0.0000 0.9999 0.3600  1 O 2.56
H1 0.5038 0.3379 0.5299  1 O 0.99
H2 0.3380 0.8343 0.0297  1 O 0.99
H3 0.1656 0.5039 0.0297  1 O 0.99
H4 0.4962 0.6621 0.0299  1 O 0.99
H5 0.8344 0.4961 0.5297  1 O 0.99
H6 0.6620 0.1657 0.5297  1 O 0.99
P1 0.1856 0.8041 0.4038  4 O 1.52-1.59
P2 0.8121 0.1914 0.3286  4 O 1.53-1.58
P3 0.6208 0.8121 0.8286  4 O 1.53-1.58
P4 0.3792 0.1879 0.3286  4 O 1.53-1.58
P5 0.8042 0.6185 0.9038  4 O 1.52-1.59
P6 0.1958 0.3815 0.4038  4 O 1.52-1.59
P7 0.6187 0.8145 0.4038  4 O 1.52-1.58
P8 0.8144 0.1959 0.9038  4 O 1.52-1.59
P9 0.3813 0.1855 0.9038  4 O 1.52-1.58
P10 0.1914 0.3791 0.8287  4 O 1.53-1.58
P11 0.8086 0.6209 0.3287  4 O 1.53-1.58
P12 0.1879 0.8086 0.8286  4 O 1.53-1.58

## Properties
- calculated formation energy (eV per atom) = -2.382

The following is a DFT calculation (PBE+U) of a relaxed structure of LiFeSi6O14.

a = 12.7806 Å, b = 12.7806 Å, c = 12.7806 Å
α = 146.32°, β = 107.35°, γ = 82.51°
With the nearest neighbours (Å) after each atom.
Sites, in units of the cell vectors:
Si1 0.3715 0.6846 0.0561  4 O 1.61-1.63
Si2 0.4251 0.0874 0.8169  4 O 1.60-1.66
Si3 0.2212 0.0022 0.5322  4 O 1.61-1.67
Si4 0.7705 0.5874 0.6623  4 O 1.60-1.66
Si5 0.8715 0.8154 0.6869  4 O 1.61-1.63
Si6 0.7295 0.3918 0.8169  4 O 1.60-1.66
Si7 0.2705 0.6082 0.1831  4 O 1.60-1.66
Si8 0.1285 0.1846 0.3131  4 O 1.61-1.63
Si9 0.8351 0.2375 0.0726  4 O 1.61-1.63
Si10 0.5300 0.3110 0.5322  4 O 1.61-1.67
Si11 0.0300 0.4978 0.2190  4 O 1.61-1.67
Si12 0.6649 0.7375 0.4023  4 O 1.61-1.63
Si13 0.9700 0.5022 0.7810  4 O 1.61-1.67
Si14 0.4700 0.6890 0.4678  4 O 1.61-1.67
Si15 0.7212 0.1890 0.2190  4 O 1.61-1.67
Si16 0.5749 0.9126 0.1831  4 O 1.60-1.66
Si17 0.1649 0.7625 0.9274  4 O 1.61-1.63
Si18 0.9251 0.1082 0.3377  4 O 1.60-1.66
Si19 0.0749 0.8918 0.6623  4 O 1.60-1.66
Si20 0.7788 0.9978 0.4678  4 O 1.61-1.67
Si21 0.2788 0.8110 0.7810  4 O 1.61-1.67
Si22 0.6285 0.3154 0.9439  4 O 1.61-1.63
Si23 0.3351 0.2625 0.5977  4 O 1.61-1.63
Si24 0.2295 0.4126 0.3377  4 O 1.60-1.66
O1 0.4324 0.2375 0.0389  1 Si 1.60
O2 0.8071 0.2747 0.2171  2 Si 1.63-1.67
O3 0.1929 0.7253 0.7829  2 Si 1.63-1.67
O4 0.0065 0.1960 0.3346  2 Si 1.63-1.66
O5 0.0108 0.5624 0.9605  1 Si 1.61
O6 0.2280 0.2663 0.4943  2 Si 1.62
O7 0.8718 0.0327 0.9045  2 Si 1.61
O8 0.6986 0.7375 0.8051  1 Si 1.60
O9 0.7035 0.9519 0.3002  2 Si 1.64
O10 0.1928 0.7663 0.3085  2 Si 1.64-1.65
O11 0.6517 0.4033 0.6998  2 Si 1.64
O12 0.8614 0.6720 0.6654  2 Si 1.63-1.66
O13 0.6386 0.3040 0.8105  2 Si 1.63-1.66
O14 0.6928 0.3842 0.4265  2 Si 1.64-1.65
O15 0.6282 0.5327 0.1609  2 Si 1.61
O16 0.7965 0.0967 0.2484  2 Si 1.64
O17 0.9577 0.2663 0.5735  2 Si 1.64-1.65
O18 0.8072 0.2337 0.6915  2 Si 1.64-1.65
O19 0.0423 0.7337 0.4265  2 Si 1.64-1.65
O20 0.5576 0.7747 0.4677  2 Si 1.63-1.67
O21 0.3014 0.2625 0.1949  1 Si 1.60
O22 0.8014 0.6065 0.0389  1 Si 1.60
O23 0.5065 0.1720 0.8105  2 Si 1.63-1.66
O24 0.3614 0.6960 0.1895  2 Si 1.63-1.66
O25 0.5108 0.5503 0.4484  1 Si 1.61
O26 0.1986 0.3935 0.9611  1 Si 1.60
O27 0.3981 0.9497 0.9605  1 Si 1.61
O28 0.5676 0.7625 0.9611  1 Si 1.60
O29 0.3483 0.5967 0.3002  2 Si 1.64
O30 0.9424 0.4100 0.2171  2 Si 1.63-1.67
O31 0.3071 0.0900 0.5323  2 Si 1.63-1.67
O32 0.0576 0.5900 0.7829  2 Si 1.63-1.67
O33 0.6019 0.0503 0.0395  1 Si 1.61
O34 0.4424 0.2253 0.5323  2 Si 1.63-1.67
O35 0.9935 0.8040 0.6654  2 Si 1.63-1.66
O36 0.2965 0.0481 0.6998  2 Si 1.64
O37 0.2035 0.9033 0.7516  2 Si 1.64
O38 0.1386 0.3280 0.3346  2 Si 1.63-1.66
O39 0.4577 0.8842 0.6915  2 Si 1.64-1.65
O40 0.7720 0.7337 0.5057  2 Si 1.62
O41 0.9892 0.4376 0.0395  1 Si 1.61
O42 0.1282 0.9673 0.0955  2 Si 1.61
O43 0.2720 0.7663 0.0383  2 Si 1.62
O44 0.7280 0.2337 0.9617  2 Si 1.62
O45 0.0676 0.1065 0.8051  1 Si 1.60
O46 0.8981 0.9376 0.4484  1 Si 1.61
O47 0.1517 0.4519 0.2484  2 Si 1.64
O48 0.9324 0.8935 0.1949  1 Si 1.60
O49 0.3718 0.4673 0.8391  2 Si 1.61
O50 0.6929 0.9100 0.4677  2 Si 1.63-1.67
O51 0.4935 0.8280 0.1895  2 Si 1.63-1.66
O52 0.3072 0.6158 0.5735  2 Si 1.64-1.65
O53 0.1019 0.0624 0.5516  1 Si 1.61
O54 0.8483 0.5481 0.7516  2 Si 1.64
O55 0.5423 0.1158 0.3085  2 Si 1.64-1.65
O56 0.4892 0.4497 0.5516  1 Si 1.61
Fe1 0.0438 0.2500 0.7938  4 O 1.94-2.11
Fe2 0.9562 0.7500 0.2062  4 O 1.94-2.11
Fe3 0.4562 0.2500 0.2062  4 O 1.94-2.11
Fe4 0.5438 0.7500 0.7938  4 O 1.94-2.11
Li1 0.2500 0.2500 0.0000  8 O 2.25-2.49
Li2 0.5000 0.0000 0.5000  8 O 2.43-2.58
Li3 0.7500 0.7500 0.0000  8 O 2.25-2.49
Li4 0.0000 0.5000 0.5000  8 O 2.43-2.58

## Properties
- calculated formation energy (eV per atom) = -2.943

The following is a DFT calculation (PBE+U) of a relaxed structure of Li5Fe8B8O24.

a = 5.2293 Å, b = 9.1376 Å, c = 10.0987 Å
α = 88.76°, β = 88.63°, γ = 89.27°
With the nearest neighbours (Å) after each atom.
Sites, in units of the cell vectors:
Fe1 0.1742 0.8269 0.6326  5 O 1.92-2.14
Fe2 0.3238 0.9991 0.8813  4 O 2.00-2.15
Fe3 0.1654 0.5048 0.1330  4 O 1.91-2.06
Fe4 0.8461 0.1639 0.3773  4 O 1.99-2.20
Fe5 0.3507 0.6580 0.3765  5 O 1.97-2.18
Fe6 0.8155 0.5056 0.8787  5 O 1.98-2.19
Fe7 0.6584 0.3488 0.6305  3 O 1.97-2.08
Fe8 0.6661 0.0039 0.1344  4 O 1.90-2.10
B1 0.3302 0.6674 0.8799  3 O 1.35-1.43
B2 0.3381 0.9975 0.3829  3 O 1.35-1.42
B3 0.1680 0.8330 0.1275  3 O 1.37-1.39
B4 0.6680 0.3327 0.1259  3 O 1.37-1.39
B5 0.8248 0.1679 0.8775  3 O 1.38-1.41
B6 0.6731 0.0034 0.6264  3 O 1.38-1.42
B7 0.8359 0.4983 0.3736  3 O 1.36-1.42
B8 0.1532 0.4972 0.6248  3 O 1.36-1.40
O1 0.2749 0.7013 0.1678  1 B 1.38
O2 0.7760 0.1994 0.1652  1 B 1.39
O3 0.0982 0.4831 0.3342  1 B 1.42
O4 0.9085 0.8487 0.1166  1 B 1.37
O5 0.7254 0.6333 0.3775  1 B 1.36
O6 0.7840 0.1361 0.5953  1 B 1.38
O7 0.2037 0.5404 0.9236  1 B 1.40
O8 0.8255 0.4479 0.0901  1 B 1.38
O9 0.9095 0.4982 0.6758  1 B 1.36
O10 0.8173 0.8765 0.6202  1 B 1.38
O11 0.1780 0.7884 0.8344  1 B 1.43
O12 0.2212 0.1306 0.3875  1 B 1.35
O13 0.6746 0.2901 0.8511  1 B 1.38
O14 0.4073 0.3478 0.1180  1 B 1.37
O15 0.5867 0.6800 0.8817  1 B 1.35
O16 0.2836 0.3660 0.6059  1 B 1.39
O17 0.2675 0.6293 0.5864  1 B 1.40
O18 0.7077 0.0374 0.9222  1 B 1.41
O19 0.4092 0.9955 0.6607  1 B 1.42
O20 0.7024 0.3723 0.4090  1 B 1.39
O21 0.3247 0.9491 0.0901  1 B 1.39
O22 0.2102 0.8693 0.4234  1 B 1.41
O23 0.5969 0.9840 0.3392  1 B 1.42
O24 0.0889 0.1713 0.8581  1 B 1.39
Li1 0.3305 0.3301 0.4047  4 O 1.93-2.07
Li2 0.3269 0.3246 0.9193  4 O 1.95-2.08
Li3 0.1509 0.1730 0.6529  4 O 1.95-2.10
Li4 0.8302 0.8257 0.9154  4 O 1.90-2.10
Li5 0.8255 0.8263 0.4158  4 O 1.90-2.12

## Properties
- energy relative to the lowest polymorph listed for this composition (kcal/mol of atoms) = 0.18
- calculated formation energy (eV per atom) = -2.284

The following is a DFT calculation (PBE+U) of a relaxed structure of FeH4C3O5.

a = 6.2893 Å, b = 9.6801 Å, c = 9.8134 Å
α = 77.15°, β = 90.00°, γ = 90.00°
With the nearest neighbours (Å) after each atom.
Sites, in units of the cell vectors:
H1 0.4736 0.6495 0.9338  1 C 1.09
H2 0.8684 0.7553 0.0532  1 C 1.10
H3 0.1316 0.2553 0.0532  1 C 1.10
H4 0.1090 0.8455 0.0781  1 C 1.10
H5 0.5264 0.1495 0.9338  1 C 1.09
H6 0.8937 0.1181 0.2843  1 O 0.98
H7 0.1063 0.6181 0.2843  1 O 0.98
H8 0.4087 0.4675 0.9454  1 C 1.10
H9 0.4006 0.0185 0.7140  1 O 0.98
H10 0.1194 0.6664 0.0576  1 C 1.09
H11 0.5913 0.9675 0.9454  1 C 1.10
H12 0.6826 0.5235 0.9335  1 C 1.10
H13 0.3174 0.0235 0.9335  1 C 1.10
H14 0.5994 0.5185 0.7140  1 O 0.98
H15 0.8806 0.1664 0.0576  1 C 1.09
H16 0.8910 0.3455 0.0781  1 C 1.10
O1 0.2197 0.4942 0.5268  1 C 1.26
O2 0.4909 0.0853 0.7488  1 H 0.98
O3 0.5091 0.5853 0.7488  1 H 0.98
O4 0.9766 0.0061 0.7642  1 C 1.26
O5 0.0020 0.6922 0.2500  1 H 0.98
O6 0.7191 0.5061 0.4762  1 C 1.26
O7 0.2809 0.0061 0.4762  1 C 1.26
O8 0.9242 0.7792 0.5307  1 C 1.28
O9 0.0234 0.5061 0.7642  1 C 1.26
O10 0.5202 0.6260 0.2397  1 C 1.26
O11 0.3270 0.4287 0.2478  1 C 1.27
O12 0.8278 0.3135 0.7550  1 C 1.27
O13 0.0758 0.2792 0.5307  1 C 1.28
O14 0.9980 0.1922 0.2500  1 H 0.98
O15 0.4798 0.1260 0.2397  1 C 1.26
O16 0.4234 0.7927 0.4712  1 C 1.28
O17 0.6730 0.9287 0.2478  1 C 1.27
O18 0.1722 0.8135 0.7550  1 C 1.27
O19 0.7803 0.9942 0.5268  1 C 1.26
O20 0.5766 0.2927 0.4712  1 C 1.28
C1 0.5193 0.5533 0.9001  3 H 1.09-1.10
C2 0.8994 0.8905 0.5785  2 O 1.26-1.28
C3 0.3995 0.9258 0.4241  2 O 1.26-1.28
C4 0.4807 0.0533 0.9001  3 H 1.09-1.10
C5 0.0263 0.9030 0.7112  2 O 1.26-1.27
C6 0.0272 0.7428 0.1005  3 H 1.09-1.10
C7 0.4725 0.4985 0.2920  2 O 1.26-1.27
C8 0.6005 0.4258 0.4241  2 O 1.26-1.28
C9 0.9728 0.2428 0.1005  3 H 1.09-1.10
C10 0.1006 0.3905 0.5785  2 O 1.26-1.28
C11 0.5275 0.9985 0.2920  2 O 1.26-1.27
C12 0.9737 0.4030 0.7112  2 O 1.26-1.27
Fe1 0.2229 0.6620 0.6362  6 O 2.09-2.32
Fe2 0.2766 0.2232 0.3660  6 O 2.09-2.32
Fe3 0.7234 0.7232 0.3660  6 O 2.09-2.32
Fe4 0.7771 0.1620 0.6362  6 O 2.09-2.32

## Properties
- calculated formation energy (eV per atom) = -1.127

Size of the total moment? In order: 0.20 0.23 0.78 0.31 μB/atom.